# 1
VASP calculation (PBE with a Hubbard U) on crystalline CsAlVP2H2O10 at its relaxed geometry.

Properties
**ΔH_f (0 K)**: -247.2 kJ per mole of atoms
**Symmetry**: No. 14
**Final energy**: -463.18 eV for the cell shown

a b c (Å): 8.133 8.247 14.396
angles (deg): 90.00 106.32 90.00
Sites, in units of the cell vectors:
Cs1 0.171 0.035 0.290
Cs2 0.171 0.465 0.790
Cs3 0.829 0.535 0.210
Cs4 0.829 0.965 0.710
Al1 0.216 0.034 0.969
Al2 0.216 0.466 0.469
Al3 0.784 0.534 0.531
Al4 0.784 0.966 0.031
V1 0.286 0.554 0.141
V2 0.286 0.946 0.641
V3 0.714 0.054 0.359
V4 0.714 0.446 0.859
P1 0.005 0.225 0.541
P2 0.005 0.275 0.041
P3 0.498 0.107 0.855
P4 0.498 0.393 0.355
P5 0.502 0.607 0.645
P6 0.502 0.893 0.145
P7 0.995 0.725 0.959
P8 0.995 0.775 0.459
H1 0.474 0.151 0.503
H2 0.474 0.349 0.003
H3 0.475 0.212 0.608
H4 0.475 0.288 0.108
H5 0.525 0.712 0.892
H6 0.525 0.788 0.392
H7 0.526 0.651 0.997
H8 0.526 0.849 0.497
O1 0.064 0.618 0.421
O2 0.064 0.882 0.921
O3 0.103 0.217 0.967
O4 0.103 0.283 0.467
O5 0.130 0.145 0.630
O6 0.130 0.355 0.130
O7 0.146 0.615 0.007
O8 0.146 0.885 0.507
O9 0.204 0.672 0.208
O10 0.204 0.828 0.708
O11 0.341 0.056 0.890
O12 0.341 0.444 0.390
O13 0.344 0.506 0.587
O14 0.344 0.994 0.087
O15 0.456 0.118 0.566
O16 0.456 0.382 0.066
O17 0.465 0.067 0.748
O18 0.465 0.433 0.248
O19 0.473 0.710 0.122
O20 0.473 0.790 0.622
O21 0.527 0.210 0.378
O22 0.527 0.290 0.878
O23 0.535 0.567 0.752
O24 0.535 0.933 0.252
O25 0.544 0.618 0.934
O26 0.544 0.882 0.434
O27 0.656 0.006 0.913
O28 0.656 0.494 0.413
O29 0.659 0.556 0.610
O30 0.659 0.944 0.110
O31 0.796 0.172 0.292
O32 0.796 0.328 0.792
O33 0.854 0.115 0.493
O34 0.854 0.385 0.993
O35 0.870 0.645 0.870
O36 0.870 0.855 0.370
O37 0.897 0.717 0.533
O38 0.897 0.783 0.033
O39 0.936 0.118 0.079
O40 0.936 0.382 0.579

***

# 2
VASP calculation (PBE with a Hubbard U) on crystalline LiMnSiO4 at its relaxed geometry.

Properties
**ΔH_f (0 K)**: -249.2 kJ per mole of atoms
**Symmetry**: No. 61
**Final energy**: -399.63 eV for the cell shown

a b c (Å): 5.930 7.365 15.640
angles (deg): 90.00 90.00 90.00
Sites, in units of the cell vectors:
Li1 0.090 0.237 0.235
Li2 0.090 0.263 0.735
Li3 0.410 0.737 0.235
Li4 0.410 0.763 0.735
Li5 0.590 0.237 0.265
Li6 0.590 0.263 0.765
Li7 0.910 0.737 0.265
Li8 0.910 0.763 0.765
Mn1 0.111 0.670 0.466
Mn2 0.111 0.830 0.966
Mn3 0.389 0.170 0.466
Mn4 0.389 0.330 0.966
Mn5 0.611 0.670 0.034
Mn6 0.611 0.830 0.534
Mn7 0.889 0.170 0.034
Mn8 0.889 0.330 0.534
Si1 0.093 0.533 0.114
Si2 0.093 0.967 0.614
Si3 0.407 0.033 0.114
Si4 0.407 0.467 0.614
Si5 0.593 0.533 0.386
Si6 0.593 0.967 0.886
Si7 0.907 0.033 0.386
Si8 0.907 0.467 0.886
O1 0.033 0.666 0.878
O2 0.033 0.834 0.378
O3 0.065 0.175 0.444
O4 0.065 0.325 0.944
O5 0.142 0.609 0.207
O6 0.142 0.891 0.707
O7 0.169 0.013 0.055
O8 0.169 0.487 0.555
O9 0.331 0.513 0.055
O10 0.331 0.987 0.555
O11 0.358 0.109 0.207
O12 0.358 0.391 0.707
O13 0.435 0.675 0.444
O14 0.435 0.825 0.944
O15 0.467 0.166 0.878
O16 0.467 0.334 0.378
O17 0.533 0.666 0.622
O18 0.533 0.834 0.122
O19 0.565 0.175 0.056
O20 0.565 0.325 0.556
O21 0.642 0.609 0.293
O22 0.642 0.891 0.793
O23 0.669 0.013 0.445
O24 0.669 0.487 0.945
O25 0.831 0.513 0.445
O26 0.831 0.987 0.945
O27 0.858 0.109 0.293
O28 0.858 0.391 0.793
O29 0.935 0.675 0.056
O30 0.935 0.825 0.556
O31 0.967 0.166 0.622
O32 0.967 0.334 0.122

***

# 3
VASP calculation (PBE with a Hubbard U) on crystalline FeOF at its relaxed geometry.

Properties
**ΔH_f (0 K)**: -197.2 kJ per mole of atoms
**Symmetry**: No. 6
**Final energy**: -216.72 eV for the cell shown

a b c (Å): 9.461 3.112 14.247
angles (deg): 90.00 90.05 90.00
Sites, in units of the cell vectors:
Fe1 0.000 0.000 0.000
Fe2 0.000 0.000 0.337
Fe3 0.006 0.000 0.670
Fe4 0.257 0.500 0.813
Fe5 0.288 0.500 0.169
Fe6 0.289 0.500 0.501
Fe7 0.499 0.000 0.668
Fe8 0.503 0.000 0.336
Fe9 0.504 0.000 0.003
Fe10 0.791 0.500 0.504
Fe11 0.791 0.500 0.831
Fe12 0.792 0.500 0.169
O1 0.166 0.000 0.763
O2 0.368 0.000 0.563
O3 0.370 0.000 0.229
O4 0.419 0.500 0.059
O5 0.424 0.500 0.397
O6 0.424 0.500 0.732
O7 0.867 0.000 0.230
O8 0.867 0.000 0.896
O9 0.868 0.000 0.565
O10 0.919 0.500 0.728
O11 0.922 0.500 0.063
O12 0.923 0.500 0.398
F1 0.118 0.500 0.266
F2 0.118 0.500 0.594
F3 0.122 0.500 0.935
F4 0.172 0.000 0.100
F5 0.173 0.000 0.431
F6 0.363 0.000 0.895
F7 0.611 0.500 0.931
F8 0.617 0.500 0.600
F9 0.619 0.500 0.266
F10 0.669 0.000 0.098
F11 0.671 0.000 0.765
F12 0.672 0.000 0.434

***

# 4
VASP calculation (PBE with a Hubbard U) on crystalline LiZn4Fe13O24 at its relaxed geometry.

Properties
**ΔH_f (0 K)**: -161.2 kJ per mole of atoms
**Symmetry**: No. 8
**Final energy**: -260.16 eV for the cell shown

a b c (Å): 6.059 6.059 14.814
angles (deg): 90.26 90.26 59.98
Sites, in units of the cell vectors:
Li1 0.000 0.000 0.000
Zn1 0.001 0.001 0.374
Zn2 0.167 0.167 0.542
Zn3 0.333 0.333 0.709
Zn4 0.837 0.837 0.206
Fe1 0.166 0.668 0.542
Fe2 0.329 0.839 0.208
Fe3 0.331 0.331 0.084
Fe4 0.340 0.340 0.333
Fe5 0.502 0.996 0.877
Fe6 0.503 0.503 0.877
Fe7 0.663 0.663 0.417
Fe8 0.667 0.667 0.038
Fe9 0.668 0.166 0.542
Fe10 0.670 0.670 0.663
Fe11 0.839 0.329 0.208
Fe12 0.996 0.502 0.877
Fe13 0.999 0.999 0.754
O1 0.008 0.008 0.139
O2 0.016 0.502 0.622
O3 0.166 0.166 0.287
O4 0.172 0.652 0.798
O5 0.173 0.680 0.288
O6 0.174 0.174 0.798
O7 0.319 0.832 0.463
O8 0.333 0.333 0.951
O9 0.339 0.339 0.466
O10 0.365 0.818 0.952
O11 0.494 0.494 0.620
O12 0.502 0.016 0.622
O13 0.503 0.982 0.124
O14 0.510 0.510 0.126
O15 0.652 0.172 0.798
O16 0.665 0.665 0.285
O17 0.667 0.667 0.795
O18 0.680 0.173 0.288
O19 0.817 0.817 0.953
O20 0.818 0.365 0.952
O21 0.832 0.319 0.463
O22 0.838 0.838 0.465
O23 0.982 0.503 0.124
O24 0.995 0.995 0.622

***

# 5
VASP calculation (PBE with a Hubbard U) on crystalline MgMn6O8F4 at its relaxed geometry.

Properties
**ΔH_f (0 K)**: -217.5 kJ per mole of atoms
**Symmetry**: No. 1
**Final energy**: -129.29 eV for the cell shown

a b c (Å): 5.229 5.725 7.706
angles (deg): 82.37 88.63 87.58
Sites, in units of the cell vectors:
Mg1 0.000 0.000 0.000
Mn1 0.003 0.424 0.228
Mn2 0.014 0.626 0.809
Mn3 0.024 0.993 0.512
Mn4 0.491 0.464 0.494
Mn5 0.510 0.796 0.138
Mn6 0.511 0.112 0.812
O1 0.181 0.676 0.583
O2 0.324 0.840 0.922
O3 0.334 0.527 0.252
O4 0.337 0.179 0.591
O5 0.642 0.094 0.045
O6 0.815 0.277 0.427
O7 0.860 0.940 0.741
O8 0.867 0.652 0.047
F1 0.135 0.027 0.247
F2 0.151 0.312 0.920
F3 0.667 0.431 0.745
F4 0.675 0.759 0.380

***

# 6
VASP calculation (PBE with a Hubbard U) on crystalline Fe2O3 at its relaxed geometry.

Properties
**ΔH_f (0 K)**: -157.8 kJ per mole of atoms
**Symmetry**: No. 206
**Final energy**: -267.12 eV for the cell shown

a b c (Å): 8.276 8.276 8.276
angles (deg): 109.47 109.47 109.47
Sites, in units of the cell vectors:
Fe1 0.000 0.000 0.500
Fe2 0.000 0.500 0.000
Fe3 0.038 0.750 0.788
Fe4 0.212 0.962 0.250
Fe5 0.250 0.212 0.962
Fe6 0.250 0.712 0.462
Fe7 0.288 0.538 0.750
Fe8 0.462 0.250 0.712
Fe9 0.500 0.000 0.000
Fe10 0.500 0.500 0.500
Fe11 0.538 0.750 0.288
Fe12 0.712 0.462 0.250
Fe13 0.750 0.288 0.538
Fe14 0.750 0.788 0.038
Fe15 0.788 0.038 0.750
Fe16 0.962 0.250 0.212
O1 0.006 0.048 0.274
O2 0.041 0.494 0.767
O3 0.048 0.274 0.006
O4 0.226 0.274 0.733
O5 0.226 0.452 0.459
O6 0.233 0.959 0.506
O7 0.267 0.774 0.726
O8 0.274 0.006 0.048
O9 0.274 0.733 0.226
O10 0.452 0.459 0.226
O11 0.459 0.226 0.452
O12 0.494 0.767 0.041
O13 0.506 0.233 0.959
O14 0.541 0.774 0.548
O15 0.548 0.541 0.774
O16 0.726 0.267 0.774
O17 0.726 0.994 0.952
O18 0.733 0.226 0.274
O19 0.767 0.041 0.494
O20 0.774 0.548 0.541
O21 0.774 0.726 0.267
O22 0.952 0.726 0.994
O23 0.959 0.506 0.233
O24 0.994 0.952 0.726

***

# 7
VASP calculation (PBE with a Hubbard U) on crystalline MgMn6O10F2 at its relaxed geometry.

Properties
**ΔH_f (0 K)**: -197.0 kJ per mole of atoms
**Symmetry**: No. 1
**Final energy**: -130.86 eV for the cell shown

a b c (Å): 2.981 6.710 10.941
angles (deg): 72.37 89.57 89.88
Sites, in units of the cell vectors:
Mg1 0.000 0.000 0.000
Mn1 0.479 0.985 0.489
Mn2 0.483 0.338 0.787
Mn3 0.494 0.617 0.173
Mn4 0.970 0.796 0.825
Mn5 0.982 0.485 0.479
Mn6 0.992 0.152 0.194
O1 0.479 0.433 0.597
O2 0.486 0.545 0.357
O3 0.488 0.095 0.307
O4 0.495 0.160 0.068
O5 0.499 0.787 0.982
O6 0.979 0.171 0.497
O7 0.980 0.504 0.816
O8 0.981 0.797 0.485
O9 0.984 0.131 0.814
O10 0.994 0.455 0.159
F1 0.470 0.878 0.682
F2 0.994 0.826 0.186

***

# 8
VASP calculation (PBE with a Hubbard U) on crystalline MgFe5CuO8 at its relaxed geometry.

Properties
**ΔH_f (0 K)**: -151.3 kJ per mole of atoms
**Symmetry**: No. 1
**Final energy**: -94.38 eV for the cell shown

a b c (Å): 5.977 5.994 6.379
angles (deg): 117.26 90.61 119.84
Sites, in units of the cell vectors:
Mg1 0.000 0.000 0.000
Fe1 0.487 0.975 0.479
Fe2 0.490 0.485 0.980
Fe3 0.491 0.982 0.981
Fe4 0.826 0.664 0.526
Fe5 0.996 0.486 0.980
Cu1 0.151 0.295 0.451
O1 0.236 0.469 0.198
O2 0.242 0.961 0.204
O3 0.255 0.008 0.762
O4 0.263 0.530 0.795
O5 0.723 0.959 0.202
O6 0.724 0.443 0.167
O7 0.747 0.008 0.760
O8 0.754 0.512 0.767